## one
## LiMn2O3F (PBE+U)

Data for a relaxed LiMn2O3F crystal.

Its crystal system is monoclinic. Its space-group type is P2_1/c. For the volume, the calculation gives 79 Å³/f.u. As for the magnetic moment: 0.0 Bohr magnetons per cell.

Lattice parameters (Å, degrees): 5.8418 6.1368 8.7742 90.00 90.00 89.61
Sites, in units of the cell vectors:
1 O 0.9958 0.7862 0.6013
2 O 0.7010 0.9985 0.8821
3 Li 0.0299 0.5004 0.7288
4 O 0.0066 0.2855 0.1488
5 Mn 0.5000 0.2500 0.8750
6 Mn 0.2474 0.0004 0.6148
7 Mn 0.2526 0.4996 0.1148
8 Mn 0.7474 0.0004 0.6353
9 O 0.0042 0.7138 0.1487
10 Mn 0.0000 0.7500 0.3750
11 O 0.7990 0.5015 0.3821
12 Li 0.4701 0.9996 0.2288
13 F 0.7209 0.0028 0.3710
14 O 0.2990 0.5015 0.8679
15 Mn 0.7526 0.4996 0.1352
16 O 0.4958 0.7862 0.6487
17 F 0.2791 0.4973 0.3790
18 O 0.9934 0.2145 0.6012
19 Mn 0.5000 0.7500 0.8750
20 O 0.5042 0.7138 0.1013
21 O 0.4934 0.2145 0.6488
22 O 0.2010 0.9985 0.3679
23 Li 0.5299 0.5004 0.5212
24 Mn 0.0000 0.2500 0.3750
25 F 0.7791 0.4972 0.8710
26 Li 0.9701 0.9996 0.0212
27 F 0.2209 0.0027 0.8790
28 O 0.5066 0.2855 0.1012

## two
## LiMn2O3F (PBE+U)

Data for a relaxed LiMn2O3F crystal.

Its crystal system is triclinic. Its space-group type is P-1. For the volume, the calculation gives 79 Å³/f.u. As for the magnetic moment: 24.0 Bohr magnetons per cell.

Lattice parameters (Å, degrees): 6.0391 6.1594 8.4962 91.06 92.68 91.87
Sites, in units of the cell vectors:
1 Mn 0.2511 0.2498 0.7506
2 Mn 0.0001 0.5002 0.0001
3 F 0.5216 0.0094 0.7649
4 O 0.2583 0.2092 0.5202
5 O 0.0452 0.9953 0.7343
6 O 0.7417 0.7907 0.4797
7 Li 0.7899 0.9964 0.8923
8 Mn 0.7486 0.2501 0.2495
9 O 0.2810 0.7687 0.5257
10 O 0.2424 0.2894 0.9799
11 Mn 0.5002 0.9999 0.4999
12 O 0.9547 0.0047 0.2657
13 O 0.4567 0.5034 0.7662
14 O 0.5431 0.4967 0.2339
15 O 0.7576 0.7107 0.0202
16 O 0.7190 0.2312 0.4743
17 O 0.7803 0.2703 0.0248
18 Li 0.2100 0.0038 0.1076
19 Mn 0.0004 0.9995 0.4999
20 Mn 0.2510 0.7497 0.7506
21 O 0.2198 0.7299 0.9753
22 F 0.4783 0.9906 0.2350
23 F 0.0199 0.5104 0.2644
24 Mn 0.7489 0.7503 0.2493
25 F 0.9801 0.4897 0.7356
26 Mn 0.5000 0.5001 0.0001
27 Li 0.2882 0.4963 0.3928
28 Li 0.7117 0.5037 0.6072

Of them, the most stable is one and the least stable is two.